{"formula": "Li7Mn5O12", "functional": "GGA+U", "state": "relaxed", "formation_enthalpy_0k_ev_per_atom": -2.13, "polymorph_energy_mev_per_atom": 28, "energy_ev_per_cell": -306.09, "total_magnetization_mub_per_atom": 0.000, "lattice_angstrom": [[-0.952, 2.689, 0.878], [-7.851, -1.035, -6.421], [-11.564, -5.860, 7.964]], "species": ["Li", "Li", "Li", "Li", "Li", "Li", "Li", "Li", "Li", "Li", "Li", "Li", "Li", "Li", "Mn", "Mn", "Mn", "Mn", "Mn", "Mn", "Mn", "Mn", "Mn", "Mn", "O", "O", "O", "O", "O", "O", "O", "O", "O", "O", "O", "O", "O", "O", "O", "O", "O", "O", "O", "O", "O", "O", "O", "O"], "fractional_positions": [[0.000, 0.000, 0.333], [0.500, 0.000, 0.833], [0.490, 0.241, 0.328], [0.990, 0.241, 0.828], [0.510, 0.759, 0.338], [0.010, 0.759, 0.838], [0.998, 0.746, 0.167], [0.498, 0.746, 0.667], [0.002, 0.254, 0.499], [0.502, 0.254, 0.999], [0.010, 0.242, 0.173], [0.510, 0.242, 0.673], [0.990, 0.758, 0.494], [0.490, 0.758, 0.994], [0.000, 0.500, 0.333], [0.009, 0.996, 0.996], [0.991, 0.004, 0.670], [0.001, 0.502, 0.000], [0.999, 0.498, 0.667], [0.500, 0.500, 0.833], [0.509, 0.996, 0.496], [0.491, 0.004, 0.170], [0.501, 0.502, 0.500], [0.499, 0.498, 0.167], [0.035, 0.108, 0.431], [0.535, 0.108, 0.931], [0.965, 0.892, 0.235], [0.465, 0.892, 0.735], [0.461, 0.618, 0.247], [0.961, 0.618, 0.747], [0.539, 0.382, 0.420], [0.039, 0.382, 0.920], [0.015, 0.105, 0.091], [0.515, 0.105, 0.590], [0.485, 0.895, 0.076], [0.985, 0.895, 0.576], [0.491, 0.118, 0.242], [0.991, 0.118, 0.742], [0.509, 0.882, 0.424], [0.009, 0.882, 0.924], [0.962, 0.617, 0.082], [0.462, 0.617, 0.582], [0.538, 0.383, 0.084], [0.038, 0.383, 0.584], [0.964, 0.620, 0.413], [0.464, 0.620, 0.913], [0.036, 0.380, 0.254], [0.536, 0.380, 0.754]]}